Entry 1:
Here is an optimized crystal structure of Li7Bi2P7O24 from Materials Project. Energies are from PBE.

Unit cell a=16.155 b=5.247 c=12.183 alpha=90.00 beta=95.48 gamma=90.00
Fractional coordinates of all 80 atoms:
Li 0.000 0.212 0.250
Li 0.000 0.788 0.750
Li 0.076 0.333 0.941
Li 0.076 0.667 0.441
Li 0.368 0.280 0.115
Li 0.368 0.720 0.615
Li 0.467 0.268 0.477
Li 0.467 0.732 0.977
Li 0.533 0.268 0.023
Li 0.533 0.732 0.523
Li 0.632 0.280 0.385
Li 0.632 0.720 0.885
Li 0.924 0.333 0.559
Li 0.924 0.667 0.059
Bi 0.223 0.168 0.308
Bi 0.223 0.832 0.808
Bi 0.777 0.168 0.192
Bi 0.777 0.832 0.692
P 0.102 0.319 0.691
P 0.102 0.681 0.191
P 0.223 0.108 0.552
P 0.223 0.892 0.052
P 0.370 0.365 0.842
P 0.370 0.635 0.342
P 0.500 0.034 0.750
P 0.500 0.966 0.250
P 0.630 0.365 0.658
P 0.630 0.635 0.158
P 0.777 0.108 0.948
P 0.777 0.892 0.448
P 0.898 0.319 0.809
P 0.898 0.681 0.309
O 0.036 0.437 0.610
O 0.036 0.563 0.110
O 0.089 0.037 0.722
O 0.089 0.963 0.222
O 0.120 0.485 0.796
O 0.120 0.515 0.296
O 0.151 0.005 0.473
O 0.151 0.995 0.973
O 0.189 0.325 0.633
O 0.189 0.675 0.133
O 0.265 0.097 0.128
O 0.265 0.903 0.628
O 0.285 0.255 0.489
O 0.285 0.745 0.989
O 0.292 0.210 0.854
O 0.292 0.790 0.354
O 0.352 0.379 0.283
O 0.352 0.621 0.783
O 0.422 0.220 0.751
O 0.422 0.780 0.251
O 0.426 0.386 0.950
O 0.426 0.614 0.450
O 0.483 0.107 0.142
O 0.483 0.893 0.642
O 0.517 0.107 0.358
O 0.517 0.893 0.858
O 0.574 0.386 0.550
O 0.574 0.614 0.050
O 0.578 0.220 0.749
O 0.578 0.780 0.249
O 0.648 0.379 0.217
O 0.648 0.621 0.717
O 0.708 0.210 0.646
O 0.708 0.790 0.146
O 0.715 0.255 0.011
O 0.715 0.745 0.511
O 0.735 0.097 0.372
O 0.735 0.903 0.872
O 0.811 0.325 0.867
O 0.811 0.675 0.367
O 0.849 0.005 0.027
O 0.849 0.995 0.527
O 0.880 0.485 0.704
O 0.880 0.515 0.204
O 0.911 0.037 0.778
O 0.911 0.963 0.278
O 0.964 0.437 0.890
O 0.964 0.563 0.390

Computed properties:
As for the magnetization: 0.0 μB/f.u. The value obtained for the volume is 12.8 A^3/atom. The crystal system is monoclinic. The calculated total energy comes out at -6.607 eV per atom. The value obtained for the energy relative to the elements is -2.575 eV/atom. Its space-group type is P2/c (13).



Entry 2:
Here is an optimized crystal structure of ZrBrN from Materials Project. Energies are from PBE.

Unit cell a=3.496 b=3.496 c=13.874 alpha=90.00 beta=90.00 gamma=120.00
Fractional coordinates of all 6 atoms:
Zr 0.000 0.000 0.164
Zr 0.000 0.000 0.836
Br 0.333 0.667 0.689
Br 0.667 0.333 0.311
N 0.333 0.667 0.121
N 0.667 0.333 0.879

Computed properties:
As for the magnetization: 0.0 μB/f.u. The value obtained for the volume is 24.5 A^3/atom. The crystal system is trigonal. The calculated total energy comes out at -7.522 eV per atom. The value obtained for the energy relative to the elements is -1.469 eV/atom. Its space-group type is P-3m1 (164).



Entry 3:
Here is an optimized crystal structure of PrInAu2 from Materials Project. Energies are from PBE.

Unit cell a=5.086 b=5.086 c=5.086 alpha=60.00 beta=60.00 gamma=60.00
Fractional coordinates of all 4 atoms:
Pr 0.000 0.000 0.000
In 0.500 0.500 0.500
Au 0.250 0.250 0.250
Au 0.750 0.750 0.750

Computed properties:
The value obtained for the volume is 23.3 A^3/atom. The crystal system is cubic. The calculated total energy comes out at -4.196 eV per atom. The value obtained for the energy relative to the elements is -0.676 eV/atom. Its space-group type is Fm-3m (225).



Entry 4:
Here is an optimized crystal structure of LaAlNi4 from Materials Project. Energies are from PBE.

Unit cell a=4.978 b=4.978 c=4.048 alpha=90.00 beta=90.00 gamma=117.45
Fractional coordinates of all 6 atoms:
La 0.000 0.000 0.000
Al 0.500 0.500 0.500
Ni 0.000 0.500 0.500
Ni 0.333 0.667 0.000
Ni 0.500 0.000 0.500
Ni 0.667 0.333 0.000

Computed properties:
The value obtained for the volume is 14.8 A^3/atom. The energy above the most stable polymorph in this dataset is 0.0 kJ/mol of atoms. The crystal system is orthorhombic. The calculated total energy comes out at -5.766 eV per atom. The value obtained for the energy relative to the elements is -0.466 eV/atom. Its space-group type is Cmmm (65).



Entry 5:
Here is an optimized crystal structure of Ba2CaN2 from Materials Project. Energies are from PBE.

Unit cell a=3.836 b=3.836 c=10.321 alpha=90.00 beta=90.00 gamma=120.00
Fractional coordinates of all 5 atoms:
Ba 0.333 0.667 0.279
Ba 0.667 0.333 0.721
Ca 0.000 0.000 0.000
N 0.333 0.667 0.851
N 0.667 0.333 0.149

Computed properties:
As for the magnetization: 0.0 μB/f.u. The value obtained for the volume is 26.3 A^3/atom. The energy above the most stable polymorph in this dataset is 0.0 kJ/mol of atoms. The crystal system is trigonal. The calculated total energy comes out at -4.949 eV per atom. The value obtained for the energy relative to the elements is -0.590 eV/atom. Its space-group type is P-3m1 (164).



Entry 6:
Here is an optimized crystal structure of CeGa8Fe2 from Materials Project. Energies are from PBE.

Unit cell a=12.519 b=14.288 c=4.056 alpha=90.00 beta=90.00 gamma=90.00
Fractional coordinates of all 44 atoms:
Ce 0.157 0.180 0.000
Ce 0.343 0.680 0.000
Ce 0.657 0.320 0.000
Ce 0.843 0.820 0.000
Ga 0.000 0.000 0.000
Ga 0.000 0.500 0.500
Ga 0.023 0.866 0.500
Ga 0.049 0.317 0.500
Ga 0.099 0.746 0.000
Ga 0.163 0.454 0.000
Ga 0.165 0.622 0.500
Ga 0.168 0.010 0.500
Ga 0.238 0.825 0.500
Ga 0.262 0.325 0.500
Ga 0.332 0.510 0.500
Ga 0.335 0.122 0.500
Ga 0.337 0.954 0.000
Ga 0.401 0.246 0.000
Ga 0.451 0.817 0.500
Ga 0.477 0.366 0.500
Ga 0.500 0.000 0.500
Ga 0.500 0.500 0.000
Ga 0.523 0.634 0.500
Ga 0.549 0.183 0.500
Ga 0.599 0.754 0.000
Ga 0.663 0.046 0.000
Ga 0.665 0.878 0.500
Ga 0.668 0.490 0.500
Ga 0.738 0.675 0.500
Ga 0.762 0.175 0.500
Ga 0.832 0.990 0.500
Ga 0.835 0.378 0.500
Ga 0.837 0.546 0.000
Ga 0.901 0.254 0.000
Ga 0.951 0.683 0.500
Ga 0.977 0.134 0.500
Fe 0.034 0.593 0.000
Fe 0.152 0.903 0.000
Fe 0.348 0.403 0.000
Fe 0.466 0.093 0.000
Fe 0.534 0.907 0.000
Fe 0.652 0.597 0.000
Fe 0.848 0.097 0.000
Fe 0.966 0.407 0.000

Computed properties:
As for the magnetization: 0.3 μB/f.u. The value obtained for the volume is 16.5 A^3/atom. The crystal system is orthorhombic. The calculated total energy comes out at -4.627 eV per atom. The value obtained for the energy relative to the elements is -0.346 eV/atom. Its space-group type is Pbam (55).



Entry 7:
Here is an optimized crystal structure of SbP4O12 from Materials Project. Energies are from PBE.

Unit cell a=7.280 b=13.533 c=11.901 alpha=90.00 beta=125.51 gamma=90.00
Fractional coordinates of all 68 atoms:
Sb 0.047 0.213 0.076
Sb 0.047 0.287 0.576
Sb 0.953 0.713 0.424
Sb 0.953 0.787 0.924
P 0.010 0.089 0.698
P 0.010 0.411 0.198
P 0.076 0.625 0.197
P 0.076 0.875 0.697
P 0.337 0.623 0.739
P 0.337 0.877 0.239
P 0.433 0.088 0.218
P 0.433 0.412 0.718
P 0.567 0.588 0.282
P 0.567 0.912 0.782
P 0.663 0.123 0.761
P 0.663 0.377 0.261
P 0.924 0.125 0.303
P 0.924 0.375 0.803
P 0.990 0.589 0.802
P 0.990 0.911 0.302
O 0.040 0.021 0.372
O 0.040 0.479 0.872
O 0.046 0.205 0.410
O 0.046 0.295 0.910
O 0.095 0.639 0.330
O 0.095 0.861 0.830
O 0.126 0.581 0.734
O 0.126 0.919 0.234
O 0.129 0.658 0.929
O 0.129 0.842 0.429
O 0.234 0.649 0.586
O 0.234 0.851 0.086
O 0.248 0.096 0.062
O 0.248 0.404 0.562
O 0.250 0.112 0.798
O 0.250 0.388 0.298
O 0.324 0.615 0.238
O 0.324 0.885 0.738
O 0.364 0.153 0.292
O 0.364 0.347 0.792
O 0.478 0.523 0.770
O 0.478 0.977 0.270
O 0.479 0.696 0.846
O 0.479 0.804 0.346
O 0.521 0.196 0.654
O 0.521 0.304 0.154
O 0.522 0.023 0.730
O 0.522 0.477 0.230
O 0.636 0.653 0.208
O 0.636 0.847 0.708
O 0.676 0.115 0.262
O 0.676 0.385 0.762
O 0.750 0.612 0.702
O 0.750 0.888 0.202
O 0.752 0.596 0.438
O 0.752 0.904 0.938
O 0.766 0.149 0.914
O 0.766 0.351 0.414
O 0.871 0.158 0.571
O 0.871 0.342 0.071
O 0.874 0.081 0.766
O 0.874 0.419 0.266
O 0.905 0.139 0.170
O 0.905 0.361 0.670
O 0.954 0.705 0.090
O 0.954 0.795 0.590
O 0.960 0.521 0.128
O 0.960 0.979 0.628

Computed properties:
As for the magnetization: 1.0 μB/f.u. The value obtained for the volume is 14.0 A^3/atom. The energy above the most stable polymorph in this dataset is 5.7 kJ/mol of atoms. The crystal system is monoclinic. The calculated total energy comes out at -6.842 eV per atom. The value obtained for the energy relative to the elements is -2.318 eV/atom. Its space-group type is P2_1/c (14).



Entry 8:
Here is an optimized crystal structure of B5W2 from Materials Project. Energies are from PBE.

Unit cell a=7.376 b=7.376 c=7.376 alpha=24.25 beta=24.25 gamma=24.25
Fractional coordinates of all 7 atoms:
B 0.000 0.000 0.000
B 0.169 0.169 0.169
B 0.315 0.315 0.315
B 0.685 0.685 0.685
B 0.831 0.831 0.831
W 0.424 0.424 0.424
W 0.576 0.576 0.576

Computed properties:
As for the magnetization: 0.0 μB/f.u. The value obtained for the volume is 8.5 A^3/atom. The energy above the most stable polymorph in this dataset is 0.0 kJ/mol of atoms. The crystal system is trigonal. The calculated total energy comes out at -8.224 eV per atom. The value obtained for the energy relative to the elements is 0.249 eV/atom. Its space-group type is R-3m (166).



Entry 9:
Here is an optimized crystal structure of SmGePd2 from Materials Project. Energies are from PBE.

Unit cell a=7.479 b=7.126 c=5.728 alpha=90.00 beta=90.00 gamma=90.00
Fractional coordinates of all 16 atoms:
Sm 0.023 0.250 0.144
Sm 0.477 0.750 0.644
Sm 0.523 0.250 0.356
Sm 0.977 0.750 0.856
Ge 0.122 0.750 0.358
Ge 0.378 0.250 0.858
Ge 0.622 0.750 0.142
Ge 0.878 0.250 0.642
Pd 0.182 0.052 0.588
Pd 0.182 0.448 0.588
Pd 0.318 0.552 0.088
Pd 0.318 0.948 0.088
Pd 0.682 0.052 0.912
Pd 0.682 0.448 0.912
Pd 0.818 0.552 0.412
Pd 0.818 0.948 0.412

Computed properties:
The value obtained for the volume is 19.1 A^3/atom. The crystal system is orthorhombic. The calculated total energy comes out at -5.814 eV per atom. The value obtained for the energy relative to the elements is -0.888 eV/atom. Its space-group type is Pnma (62).



Entry 10:
Here is an optimized crystal structure of K2H2IrCl5O from Materials Project. Energies are from PBE.

Unit cell a=13.887 b=9.244 c=7.615 alpha=90.00 beta=90.00 gamma=90.00
Fractional coordinates of all 44 atoms:
K 0.154 0.003 0.123
K 0.154 0.497 0.123
K 0.346 0.503 0.623
K 0.346 0.997 0.623
K 0.654 0.003 0.377
K 0.654 0.497 0.377
K 0.846 0.503 0.877
K 0.846 0.997 0.877
H 0.036 0.163 0.528
H 0.036 0.337 0.528
H 0.464 0.663 0.028
H 0.464 0.837 0.028
H 0.536 0.163 0.972
H 0.536 0.337 0.972
H 0.964 0.663 0.472
H 0.964 0.837 0.472
Ir 0.103 0.750 0.693
Ir 0.397 0.250 0.193
Ir 0.603 0.750 0.807
Ir 0.897 0.250 0.307
Cl 0.009 0.750 0.953
Cl 0.102 0.006 0.697
Cl 0.102 0.494 0.697
Cl 0.196 0.750 0.430
Cl 0.243 0.750 0.864
Cl 0.257 0.250 0.364
Cl 0.304 0.250 0.930
Cl 0.398 0.506 0.197
Cl 0.398 0.994 0.197
Cl 0.491 0.250 0.453
Cl 0.509 0.750 0.547
Cl 0.602 0.006 0.803
Cl 0.602 0.494 0.803
Cl 0.696 0.750 0.070
Cl 0.743 0.750 0.636
Cl 0.757 0.250 0.136
Cl 0.804 0.250 0.570
Cl 0.898 0.506 0.303
Cl 0.898 0.994 0.303
Cl 0.991 0.250 0.047
O 0.026 0.250 0.453
O 0.474 0.750 0.953
O 0.526 0.250 0.047
O 0.974 0.750 0.547

Computed properties:
As for the magnetization: 0.0 μB/f.u. The value obtained for the volume is 22.2 A^3/atom. The crystal system is orthorhombic. The calculated total energy comes out at -4.100 eV per atom. The value obtained for the energy relative to the elements is -1.250 eV/atom. Its space-group type is Pnma (62).



Entry 11:
Here is an optimized crystal structure of Li4P2O7 from Materials Project. Energies are from PBE.

Unit cell a=8.597 b=5.301 c=13.953 alpha=90.00 beta=112.16 gamma=90.00
Fractional coordinates of all 52 atoms:
Li 0.039 0.188 0.082
Li 0.039 0.312 0.582
Li 0.056 0.180 0.809
Li 0.056 0.320 0.309
Li 0.386 0.134 0.234
Li 0.386 0.366 0.734
Li 0.449 0.158 0.919
Li 0.449 0.342 0.419
Li 0.551 0.658 0.581
Li 0.551 0.842 0.081
Li 0.614 0.634 0.266
Li 0.614 0.866 0.766
Li 0.944 0.680 0.691
Li 0.944 0.820 0.191
Li 0.961 0.688 0.418
Li 0.961 0.812 0.918
P 0.235 0.656 0.110
P 0.235 0.844 0.610
P 0.255 0.655 0.893
P 0.255 0.845 0.393
P 0.745 0.155 0.607
P 0.745 0.345 0.107
P 0.765 0.156 0.390
P 0.765 0.344 0.890
O 0.082 0.675 0.595
O 0.082 0.825 0.095
O 0.101 0.689 0.326
O 0.101 0.811 0.826
O 0.209 0.576 0.992
O 0.209 0.924 0.492
O 0.230 0.098 0.660
O 0.230 0.402 0.160
O 0.266 0.099 0.343
O 0.266 0.401 0.843
O 0.402 0.702 0.661
O 0.402 0.798 0.161
O 0.419 0.698 0.433
O 0.419 0.802 0.933
O 0.581 0.198 0.067
O 0.581 0.302 0.567
O 0.598 0.202 0.839
O 0.598 0.298 0.339
O 0.734 0.599 0.157
O 0.734 0.901 0.657
O 0.770 0.598 0.840
O 0.770 0.902 0.340
O 0.791 0.076 0.508
O 0.791 0.424 0.008
O 0.899 0.189 0.174
O 0.899 0.311 0.674
O 0.918 0.175 0.905
O 0.918 0.325 0.405

Computed properties:
As for the magnetization: 0.0 μB/f.u. The value obtained for the volume is 11.3 A^3/atom. The energy above the most stable polymorph in this dataset is 1.7 kJ/mol of atoms. The crystal system is monoclinic. The calculated total energy comes out at -6.440 eV per atom. The value obtained for the energy relative to the elements is -2.726 eV/atom. Its space-group type is P2_1/c (14).